Entry 1:
A geometry-optimized Li7Ta24O64 structure. Source: the Materials Project database, functional PBE.

a = 8.9988 Å, b = 7.7709 Å, c = 16.9816 Å
α = 90.00°, β = 90.20°, γ = 90.00°
Sites, in units of the cell vectors:
Li1 0.0000 0.0000 0.0000
Li2 0.0008 0.0000 0.3164
Li3 0.2352 0.5000 0.1575
Li4 0.4374 0.5000 0.9147
Li5 0.5918 0.0000 0.6572
Li6 0.8230 0.5000 0.5001
Li7 0.8267 0.5000 0.8156
Ta1 0.1007 0.2509 0.4690
Ta2 0.1007 0.7491 0.4690
Ta3 0.1034 0.2509 0.8482
Ta4 0.1034 0.7491 0.8482
Ta5 0.2272 0.2483 0.6586
Ta6 0.2272 0.7517 0.6586
Ta7 0.3046 0.2442 0.0380
Ta8 0.3046 0.7558 0.0380
Ta9 0.3077 0.2472 0.2813
Ta10 0.3077 0.7528 0.2813
Ta11 0.5163 0.2527 0.5348
Ta12 0.5163 0.7473 0.5348
Ta13 0.5186 0.2518 0.7780
Ta14 0.5186 0.7482 0.7780
Ta15 0.5962 0.2520 0.1570
Ta16 0.5962 0.7480 0.1570
Ta17 0.7229 0.2490 0.3470
Ta18 0.7229 0.7510 0.3470
Ta19 0.7251 0.2485 0.9682
Ta20 0.7251 0.7515 0.9682
Ta21 0.8599 0.2515 0.6579
Ta22 0.8599 0.7485 0.6579
Ta23 0.9639 0.2488 0.1586
Ta24 0.9639 0.7512 0.1586
O1 0.0103 0.5000 0.1575
O2 0.0367 0.2263 0.5844
O3 0.0372 0.2265 0.7338
O4 0.0372 0.7735 0.7338
O5 0.0367 0.7737 0.5844
O6 0.0567 0.5000 0.4819
O7 0.0609 0.5000 0.8354
O8 0.0954 0.0000 0.4535
O9 0.0982 0.2129 0.0692
O10 0.0982 0.7871 0.0692
O11 0.0998 0.0000 0.8671
O12 0.1016 0.2132 0.2451
O13 0.1016 0.7868 0.2451
O14 0.2151 0.5000 0.6586
O15 0.2385 0.0000 0.6583
O16 0.2452 0.2826 0.3877
O17 0.2452 0.7174 0.3877
O18 0.2548 0.2934 0.9278
O19 0.2548 0.7066 0.9278
O20 0.2916 0.2462 0.5399
O21 0.2916 0.7538 0.5399
O22 0.2930 0.2444 0.7768
O23 0.2930 0.7556 0.7768
O24 0.2992 0.5000 0.2642
O25 0.3024 0.5000 0.0499
O26 0.3207 0.0000 0.0183
O27 0.3238 0.0000 0.2945
O28 0.3620 0.2392 0.1573
O29 0.3620 0.7608 0.1573
O30 0.4611 0.2617 0.6586
O31 0.4611 0.7383 0.6586
O32 0.4945 0.5000 0.8015
O33 0.5000 0.5000 0.5214
O34 0.5240 0.0000 0.5517
O35 0.5293 0.0000 0.7651
O36 0.5302 0.2543 0.0387
O37 0.5302 0.7457 0.0387
O38 0.5319 0.2537 0.2759
O39 0.5319 0.7463 0.2759
O40 0.5752 0.2226 0.8874
O41 0.5752 0.7774 0.8874
O42 0.5784 0.2175 0.4282
O43 0.5784 0.7825 0.4282
O44 0.5856 0.5000 0.1579
O45 0.6083 0.0000 0.1573
O46 0.7153 0.5000 0.9521
O47 0.7224 0.2860 0.5710
O48 0.7224 0.7140 0.5710
O49 0.7232 0.2911 0.7456
O50 0.7232 0.7089 0.7456
O51 0.7284 0.5000 0.3624
O52 0.7634 0.0000 0.9802
O53 0.7671 0.0000 0.3342
O54 0.7865 0.2740 0.0829
O55 0.7865 0.7260 0.0829
O56 0.7870 0.2734 0.2316
O57 0.7870 0.7266 0.2316
O58 0.8143 0.0000 0.6592
O59 0.8929 0.5000 0.6578
O60 0.9118 0.2500 0.4080
O61 0.9118 0.7500 0.4080
O62 0.9130 0.2529 0.9089
O63 0.9130 0.7471 0.9089
O64 0.9320 0.0000 0.1577

Summary:
- Space group: Pm
- Magnetic moment: 0.40 μB per formula unit

Entry 2:
A geometry-optimized NdBPt4 structure. Source: the Materials Project database, functional PBE.

a = 5.4889 Å, b = 5.4889 Å, c = 7.7601 Å
α = 90.00°, β = 90.00°, γ = 120.00°
Sites, in units of the cell vectors:
Nd1 0.0000 0.0000 0.0000
Nd2 0.0000 0.0000 0.5000
B1 0.3333 0.6667 0.0000
B2 0.6667 0.3333 0.0000
Pt1 0.0000 0.5000 0.2001
Pt2 0.0000 0.5000 0.7999
Pt3 0.3333 0.6667 0.5000
Pt4 0.5000 0.0000 0.2001
Pt5 0.5000 0.0000 0.7999
Pt6 0.5000 0.5000 0.2001
Pt7 0.5000 0.5000 0.7999
Pt8 0.6667 0.3333 0.5000

Summary:
- Space group: P6/mmm

Entry 3:
A geometry-optimized MgTi3Zn2O8 structure. Source: the Materials Project database, functional PBE.

a = 5.9726 Å, b = 5.9726 Å, c = 6.0978 Å
α = 119.45°, β = 119.45°, γ = 60.05°
Sites, in units of the cell vectors:
Mg1 0.0000 0.0000 0.0000
Ti1 0.4995 0.9994 0.5003
Ti2 0.9994 0.4995 0.5003
Ti3 0.9992 0.9992 0.4992
Zn1 0.3758 0.3758 0.1297
Zn2 0.6232 0.6232 0.8704
O1 0.2169 0.7562 0.7294
O2 0.2426 0.2426 0.7283
O3 0.2431 0.7821 0.2701
O4 0.2438 0.2438 0.2716
O5 0.7562 0.2169 0.7294
O6 0.7562 0.7562 0.2718
O7 0.7557 0.7557 0.7297
O8 0.7821 0.2431 0.2701

Summary:
- Space group: Cm
- Polymorph energy (0 for the lowest one): 0 meV/atom
- Magnetic moment: 1.85 μB per formula unit

Number 1: energy of formation -3.226 eV per atom. Number 2: energy of formation -0.773 eV per atom. Number 3: energy of formation -2.904 eV per atom.